Material: K2FeH4S2O10
Method: DFT, GGA+U
State: relaxed

Lattice parameters (Å, degrees): 6.5720 7.4655 10.7997 72.90 73.87 69.76
Atoms (fractional coordinates):
1 K 0.2081 0.2514 0.1004
2 K 0.2600 0.7390 0.4222
3 K 0.7400 0.2610 0.5778
4 K 0.7919 0.7486 0.8996
5 Fe 0.2531 0.0216 0.7512
6 Fe 0.7469 0.9784 0.2488
7 H 0.1652 0.4158 0.7141
8 H 0.2737 0.6524 0.8593
9 H 0.3635 0.3195 0.7959
10 H 0.3672 0.6778 0.7040
11 H 0.6328 0.3222 0.2960
12 H 0.6365 0.6805 0.2041
13 H 0.7263 0.3476 0.1407
14 H 0.8348 0.5842 0.2859
15 S 0.2504 0.7786 0.0727
16 S 0.2691 0.2302 0.4158
17 S 0.7309 0.7698 0.5842
18 S 0.7496 0.2214 0.9273
19 O 0.0725 0.3681 0.3643
20 O 0.0973 0.8824 0.1792
21 O 0.1440 0.6577 0.0395
22 O 0.1942 0.1089 0.5479
23 O 0.2371 0.7264 0.7724
24 O 0.2921 0.3013 0.7323
25 O 0.3071 0.9307 0.9526
26 O 0.3954 0.0930 0.3230
27 O 0.4176 0.3353 0.4261
28 O 0.4572 0.6559 0.1211
29 O 0.5429 0.3441 0.8789
30 O 0.5824 0.6647 0.5739
31 O 0.6046 0.9070 0.6770
32 O 0.6929 0.0693 0.0474
33 O 0.7079 0.6987 0.2677
34 O 0.7629 0.2736 0.2276
35 O 0.8058 0.8911 0.4521
36 O 0.8560 0.3423 0.9605
37 O 0.9027 0.1176 0.8208
38 O 0.9275 0.6319 0.6357

symmetry = P-1
polymorph energy (0 for the lowest one) = 0 meV/atom
magnetic moment = 4.00 μB per formula unit
formation energy = -1.8367 eV/atom